The following is a DFT calculation (r2SCAN) of a relaxed Be22Re crystal.

Cell: 8.1327 8.1327 8.1327 Å, 60.00 60.00 60.00°
Sites, in units of the cell vectors:
Be  0.5102  0.5102  0.2398
Be  0.9433  0.2051  0.6758
Be  0.6758  0.2051  0.6758
Be  0.7949  0.3242  0.3242
Be  0.0000  0.5000  0.5000
Be  0.7602  0.4898  0.7602
Be  0.4898  0.7602  0.7602
Be  0.0567  0.7949  0.3242
Be  0.4898  0.7602  0.4898
Be  0.0000  0.0000  0.0000
Be  0.6758  0.9433  0.2051
Be  0.9433  0.6758  0.6758
Be  0.5102  0.2398  0.2398
Be  0.0567  0.3242  0.7949
Be  0.2398  0.2398  0.5102
Be  0.2051  0.6758  0.6758
Be  0.6758  0.2051  0.9433
Be  0.7602  0.4898  0.4898
Be  0.0567  0.3242  0.3242
Be  0.3242  0.0567  0.7949
Be  0.3242  0.7949  0.3242
Be  0.5000  0.0000  0.5000
Be  0.9433  0.6758  0.2051
Be  0.6758  0.6758  0.9433
Be  0.3242  0.0567  0.3242
Be  0.5000  0.0000  0.0000
Be  0.3242  0.3242  0.0567
Be  0.4898  0.4898  0.7602
Be  0.2051  0.9433  0.6758
Be  0.2398  0.5102  0.5102
Be  0.0000  0.5000  0.0000
Be  0.7602  0.7602  0.4898
Be  0.7949  0.0567  0.3242
Be  0.3242  0.3242  0.7949
Be  0.6758  0.6758  0.2051
Be  0.2051  0.6758  0.9433
Be  0.3242  0.7949  0.0567
Be  0.5000  0.5000  0.0000
Be  0.7949  0.3242  0.0567
Be  0.5102  0.2398  0.5102
Be  0.6758  0.9433  0.6758
Be  0.5000  0.5000  0.5000
Be  0.2398  0.5102  0.2398
Be  0.0000  0.0000  0.5000
Re  0.8750  0.8750  0.8750
Re  0.1250  0.1250  0.1250

## Properties
calculated formation energy: -0.0706 eV/atom
SG: Fd-3m (227)

The following is a DFT calculation (r2SCAN) of a relaxed CaSb2 crystal.

Cell: 4.2708 4.6967 9.1660 Å, 73.08 90.00 90.00°
Sites, in units of the cell vectors:
Ca  0.2500  0.1215  0.2878
Ca  0.7500  0.8785  0.7122
Sb  0.2500  0.7809  0.0195
Sb  0.7500  0.2191  0.9805
Sb  0.2500  0.4330  0.6170
Sb  0.7500  0.5670  0.3830

## Properties
calculated formation energy: -0.7056 eV/atom
SG: P2_1/m (11)

The following is a DFT calculation (r2SCAN) of a relaxed LiMg2Au crystal.

Cell: 4.6100 4.6100 4.6100 Å, 60.00 60.00 60.00°
Sites, in units of the cell vectors:
Li  0.0000  0.0000  0.0000
Mg  0.2500  0.2500  0.2500
Mg  0.7500  0.7500  0.7500
Au  0.5000  0.5000  0.5000

## Properties
calculated formation energy: -0.4992 eV/atom
SG: Fm-3m (225)

The following is a DFT calculation (r2SCAN) of a relaxed CsPbCl3 crystal.

Cell: 5.6769 5.6769 5.6769 Å, 89.68 89.68 89.68°
Sites, in units of the cell vectors:
Cs  0.5000  0.5000  0.5000
Pb  0.0000  0.0000  0.0000
Cl  0.9814  0.5000  0.0186
Cl  0.5000  0.0186  0.9814
Cl  0.0186  0.9814  0.5000

## Properties
calculated formation energy: -1.6788 eV/atom
SG: R32 (155)

The following is a DFT calculation (r2SCAN) of a relaxed K3Sn5Cl3F10 crystal.

Cell: 9.8703 9.8703 20.5270 Å, 90.00 90.00 154.93°
Sites, in units of the cell vectors:
K  0.0000  0.0000  0.0000
K  0.5597  0.4403  0.1633
K  0.5597  0.4403  0.3367
K  0.4403  0.5597  0.6633
K  0.4403  0.5597  0.8367
K  0.0000  0.0000  0.5000
Sn  0.2036  0.7964  0.2500
Sn  0.7964  0.2036  0.7500
Sn  0.8713  0.1287  0.1499
Sn  0.1287  0.8713  0.8501
Sn  0.6719  0.3281  0.5003
Sn  0.3281  0.6719  0.0003
Sn  0.8713  0.1287  0.3501
Sn  0.6719  0.3281  0.9997
Sn  0.1287  0.8713  0.6499
Sn  0.3281  0.6719  0.4997
Cl  0.8200  0.1800  0.8863
Cl  0.5762  0.4238  0.7500
Cl  0.4238  0.5762  0.2500
Cl  0.1800  0.8200  0.1137
Cl  0.1800  0.8200  0.3863
Cl  0.8200  0.1800  0.6137
F  0.8596  0.1404  0.0378
F  0.9742  0.0258  0.1283
F  0.6241  0.3759  0.6012
F  0.9041  0.0959  0.7500
F  0.1404  0.8596  0.9622
F  0.9742  0.0258  0.3717
F  0.0258  0.9742  0.8717
F  0.0258  0.9742  0.6283
F  0.3286  0.6714  0.7500
F  0.4275  0.5725  0.5330
F  0.3759  0.6241  0.1012
F  0.6714  0.3286  0.2500
F  0.5725  0.4275  0.4670
F  0.3759  0.6241  0.3988
F  0.1404  0.8596  0.5378
F  0.5725  0.4275  0.0330
F  0.6241  0.3759  0.8988
F  0.8596  0.1404  0.4622
F  0.0959  0.9041  0.2500
F  0.4275  0.5725  0.9670

## Properties
calculated formation energy: -2.3421 eV/atom
SG: Cmcm (63)

The following is a DFT calculation (r2SCAN) of a relaxed PrCd11 crystal.

Cell: 9.3520 9.3520 9.3520 Å, 90.00 90.00 90.00°
Sites, in units of the cell vectors:
Pr  0.0000  0.0000  0.5000
Pr  0.0000  0.5000  0.0000
Pr  0.5000  0.0000  0.0000
Cd  0.5000  0.5000  0.5000
Cd  0.1576  0.1576  0.8424
Cd  0.1576  0.8424  0.1576
Cd  0.8424  0.1576  0.1576
Cd  0.8424  0.8424  0.8424
Cd  0.8424  0.8424  0.1576
Cd  0.8424  0.1576  0.8424
Cd  0.1576  0.8424  0.8424
Cd  0.1576  0.1576  0.1576
Cd  0.3454  0.3454  0.0000
Cd  0.3454  0.0000  0.6546
Cd  0.0000  0.3454  0.6546
Cd  0.3454  0.6546  0.0000
Cd  0.3454  0.0000  0.3454
Cd  0.0000  0.6546  0.3454
Cd  0.6546  0.3454  0.0000
Cd  0.6546  0.0000  0.3454
Cd  0.0000  0.3454  0.3454
Cd  0.6546  0.6546  0.0000
Cd  0.6546  0.0000  0.6546
Cd  0.0000  0.6546  0.6546
Cd  0.2664  0.2664  0.5000
Cd  0.2664  0.5000  0.7336
Cd  0.5000  0.2664  0.7336
Cd  0.2664  0.7336  0.5000
Cd  0.2664  0.5000  0.2664
Cd  0.5000  0.7336  0.2664
Cd  0.7336  0.2664  0.5000
Cd  0.7336  0.5000  0.2664
Cd  0.5000  0.2664  0.2664
Cd  0.7336  0.7336  0.5000
Cd  0.7336  0.5000  0.7336
Cd  0.5000  0.7336  0.7336

## Properties
calculated formation energy: -0.1879 eV/atom
SG: Pm-3m (221)